Here is a relaxed ZrCrCuS4 crystal from Materials Project. Energies are from PBE-GGA.

Output
M_tot ... 12.01 μB/cell
Theoretical density ... 4.30 Mg/m³
Total energy ... -6.33 eV per atom
Symmetry ... No. 31
ΔE_f ... -1.0673 eV/atom
Energy above the most stable polymorph in this dataset ... 0.190 eV/atom

Structure (POSCAR):
```
ZrCrCuS4
1.0
-8.029 0.815 -8.068
-0.752 -3.461 0.399
-8.638 2.902 8.889
Zr Cr Cu S
4 4 4 16
Direct
0.938 0.750 0.888
0.562 0.250 0.388
0.108 0.250 0.576
0.392 0.750 0.076
0.040 0.250 0.118
0.460 0.750 0.618
0.927 0.750 0.407
0.573 0.250 0.907
0.266 0.250 0.360
0.712 0.750 0.688
0.234 0.750 0.860
0.788 0.250 0.188
0.085 0.750 0.719
0.953 0.250 0.289
0.415 0.250 0.219
0.547 0.750 0.789
0.090 0.250 0.938
0.890 0.750 0.079
0.410 0.750 0.438
0.610 0.250 0.579
0.136 0.750 0.429
0.894 0.250 0.533
0.364 0.250 0.929
0.606 0.750 0.033
0.173 0.750 0.150
0.792 0.250 0.826
0.327 0.250 0.650
0.708 0.750 0.326
```